Density functional theory data (GGA+U) for a relaxed Ni2Hg2OF6 crystal.

Calculated values
Energy with MP2020 corrections   -4.50 eV per atom
ΔH_f (0 K)   -1.90 eV per atom
Electronic total energy   -81.85 eV per cell

abc: 7.4357 7.4357 7.4357
angles: 120.00 90.00 120.00
Last column: nearest neighbours and their distance in Å.
Atoms (fractional coordinates):
Ni 0.5000 0.5000 0.0000  6 F 2.01
Ni 0.5000 0.0000 0.0000  6 F 2.01
Ni 0.0000 0.0000 0.0000  6 F 2.01
Ni 0.5000 0.5000 0.5000  6 F 2.01
F 0.1771 0.2500 0.9271  2 Ni 2.01
F 0.4271 0.3541 0.6771  2 Ni 2.01
F 0.5729 0.2500 0.3229  2 Ni 2.01
F 0.1771 0.8541 0.9271  2 Ni 2.01
F 0.5729 0.6459 0.3229  2 Ni 2.01
F 0.8229 0.1459 0.0729  2 Ni 2.01
F 0.8229 0.7500 0.6771  2 Ni 2.01
F 0.8229 0.7500 0.0729  2 Ni 2.01
F 0.1771 0.2500 0.3229  2 Ni 2.01
F 0.5729 0.2500 0.9271  2 Ni 2.01
F 0.4271 0.7500 0.0729  2 Ni 2.01
F 0.4271 0.7500 0.6771  2 Ni 2.01
Hg 0.5000 0.0000 0.5000  2 O 2.28
Hg 0.0000 0.5000 0.0000  2 O 2.28
Hg 0.0000 0.5000 0.5000  2 O 2.28
Hg 0.0000 0.0000 0.5000  2 O 2.28
O 0.8750 0.2500 0.6250  4 Hg 2.28
O 0.1250 0.7500 0.3750  4 Hg 2.28

---

Density functional theory data (GGA+U) for a relaxed Rb2VHgF6 crystal.

Calculated values
Energy with MP2020 corrections   -4.95 eV per atom
ΔH_f (0 K)   -2.67 eV per atom
Electronic total energy   -45.07 eV per cell

abc: 6.7904 6.7904 6.7904
angles: 60.00 60.00 60.00
Last column: nearest neighbours and their distance in Å.
Atoms (fractional coordinates):
F 0.1948 0.1948 0.8052  1 V 1.87
F 0.8052 0.8052 0.1948  1 V 1.87
F 0.8052 0.1948 0.1948  1 V 1.87
F 0.1948 0.8052 0.1948  1 V 1.87
F 0.1948 0.8052 0.8052  1 V 1.87
F 0.8052 0.1948 0.8052  1 V 1.87
Rb 0.2500 0.2500 0.2500  12 F 3.44
Rb 0.7500 0.7500 0.7500  12 F 3.44
V 0.0000 0.0000 0.0000  6 F 1.87
Hg 0.5000 0.5000 0.5000  6 F 2.93

---

Density functional theory data (GGA+U) for a relaxed HoMoO4F crystal.

Calculated values
Energy with MP2020 corrections   -8.31 eV per atom
ΔH_f (0 K)   -3.00 eV per atom
Electronic total energy   -206.89 eV per cell

abc: 12.4047 5.2519 6.7074
angles: 66.76 90.00 90.00
Last column: nearest neighbours and their distance in Å.
Atoms (fractional coordinates):
Ho 0.5510 0.6392 0.6997  2 F 2.23-2.30, 6 O 2.30-2.42
Ho 0.4490 0.3608 0.3003  2 F 2.23-2.30, 6 O 2.30-2.42
Ho 0.0510 0.3608 0.8003  2 F 2.23-2.30, 6 O 2.30-2.42
Ho 0.9490 0.6392 0.1997  2 F 2.23-2.30, 6 O 2.30-2.42
F 0.9024 0.4563 0.9637  2 Ho 2.23-2.30
F 0.5976 0.4563 0.4637  2 Ho 2.23-2.30
F 0.0976 0.5437 0.0363  2 Ho 2.23-2.30
F 0.4024 0.5437 0.5363  2 Ho 2.23-2.30
O 0.1526 0.7608 0.5939  1 Mo 1.76
O 0.4313 0.0029 0.6618  1 Mo 1.84
O 0.8474 0.2392 0.4061  1 Mo 1.76
O 0.3474 0.7608 0.0939  1 Mo 1.76
O 0.0651 0.3100 0.4621  1 Mo 1.84
O 0.9349 0.6900 0.5379  1 Mo 1.84
O 0.9313 0.9971 0.8382  1 Mo 1.84
O 0.0687 0.0029 0.1618  1 Mo 1.84
O 0.7781 0.8072 0.2047  1 Mo 1.78
O 0.5651 0.6900 0.0379  1 Mo 1.84
O 0.2781 0.1928 0.2953  1 Mo 1.78
O 0.2219 0.1928 0.7953  1 Mo 1.78
O 0.5687 0.9971 0.3382  1 Mo 1.84
O 0.7219 0.8072 0.7047  1 Mo 1.78
O 0.6526 0.2392 0.9061  1 Mo 1.76
O 0.4349 0.3100 0.9621  1 Mo 1.84
Mo 0.3566 0.0792 0.8695  4 O 1.76-1.84
Mo 0.6434 0.9208 0.1305  4 O 1.76-1.84
Mo 0.1434 0.0792 0.3695  4 O 1.76-1.84
Mo 0.8566 0.9208 0.6305  4 O 1.76-1.84

---

Density functional theory data (GGA+U) for a relaxed MnInF3 crystal.

Calculated values
Energy with MP2020 corrections   -6.04 eV per atom
ΔH_f (0 K)   -2.50 eV per atom
Electronic total energy   -27.12 eV per cell

abc: 4.3080 4.3089 4.3097
angles: 89.90 89.72 89.96
Last column: nearest neighbours and their distance in Å.
Atoms (fractional coordinates):
In 0.9949 0.9963 0.9905  12 F 2.97-3.13
Mn 0.4882 0.4986 0.4950  6 F 2.15-2.16
F 0.4828 0.9993 0.4998  2 Mn 2.15-2.16
F 0.9874 0.5053 0.5081  2 Mn 2.15-2.16
F 0.4867 0.5005 0.9966  2 Mn 2.15-2.16

---

Density functional theory data (GGA+U) for a relaxed MnInF3 crystal.

Calculated values
Energy with MP2020 corrections   -6.04 eV per atom
ΔH_f (0 K)   -2.50 eV per atom
Electronic total energy   -27.12 eV per cell

abc: 4.3063 4.3063 4.3063
angles: 90.04 90.04 90.04
Last column: nearest neighbours and their distance in Å.
Atoms (fractional coordinates):
F 0.0125 0.5168 0.5168  2 Mn 2.15-2.16
F 0.5168 0.0125 0.5168  2 Mn 2.15-2.16
F 0.5168 0.5168 0.0125  2 Mn 2.15-2.16
Mn 0.5118 0.5118 0.5118  6 F 2.15-2.16
In 0.0073 0.0073 0.0073  12 F 2.99-3.10

---

Density functional theory data (GGA+U) for a relaxed MnInF3 crystal.

Calculated values
Energy with MP2020 corrections   -6.04 eV per atom
ΔH_f (0 K)   -2.50 eV per atom
Electronic total energy   -27.12 eV per cell

abc: 4.3091 4.3111 4.3132
angles: 89.80 89.53 89.93
Last column: nearest neighbours and their distance in Å.
Atoms (fractional coordinates):
F 0.9866 0.5056 0.5086  2 Mn 2.15-2.16
F 0.4828 0.9993 0.4993  2 Mn 2.15-2.16
F 0.4871 0.5002 0.9966  2 Mn 2.15-2.16
In 0.9960 0.9965 0.9906  12 F 2.97-3.14
Mn 0.4875 0.4985 0.4949  6 F 2.15-2.16

---

Density functional theory data (GGA+U) for a relaxed Na2InNiF7 crystal.

Calculated values
Energy with MP2020 corrections   -5.01 eV per atom
ΔH_f (0 K)   -2.78 eV per atom
Electronic total energy   -197.45 eV per cell

abc: 7.4291 7.5995 10.4286
angles: 90.00 90.00 90.00
Last column: nearest neighbours and their distance in Å.
Atoms (fractional coordinates):
F 0.9484 0.3077 0.3712  1 Ni 2.02, 1 In 2.16
F 0.5516 0.1923 0.8712  1 Ni 2.02, 1 In 2.16
F 0.5052 0.8032 0.8687  1 Ni 2.03, 1 In 2.18
F 0.0052 0.1968 0.1313  1 Ni 2.03, 1 In 2.18
F 0.4484 0.8077 0.1288  1 Ni 2.02, 1 In 2.16
F 0.4484 0.6923 0.6288  1 Ni 2.02, 1 In 2.16
F 0.0516 0.6923 0.6288  1 Ni 2.02, 1 In 2.16
F 0.0052 0.3032 0.6313  1 Ni 2.03, 1 In 2.18
F 0.2500 0.5245 0.8599  1 In 2.11, 1 Na 2.31
F 0.7500 0.5172 0.5694  2 Ni 2.00
F 0.2500 0.4828 0.4306  2 Ni 2.00
F 0.2500 0.0172 0.9306  2 Ni 2.00
F 0.7500 0.4972 0.8468  1 In 2.09, 1 Na 2.25
F 0.4948 0.1968 0.1313  1 Ni 2.03, 1 In 2.18
F 0.7500 0.9828 0.0694  2 Ni 2.00
F 0.7500 0.0245 0.6401  1 In 2.11, 1 Na 2.31
F 0.7500 0.4755 0.1401  1 In 2.11, 1 Na 2.31
F 0.9484 0.1923 0.8712  1 Ni 2.02, 1 In 2.16
F 0.9948 0.8032 0.8687  1 Ni 2.03, 1 In 2.18
F 0.2500 0.5028 0.1532  1 In 2.09, 1 Na 2.25
F 0.5516 0.3077 0.3712  1 Ni 2.02, 1 In 2.16
F 0.2500 0.9972 0.6532  1 In 2.09, 1 Na 2.25
F 0.0516 0.8077 0.1288  1 Ni 2.02, 1 In 2.16
F 0.5052 0.6968 0.3687  1 Ni 2.03, 1 In 2.18
F 0.4948 0.3032 0.6313  1 Ni 2.03, 1 In 2.18
F 0.7500 0.0028 0.3468  1 In 2.09, 1 Na 2.25
F 0.9948 0.6968 0.3687  1 Ni 2.03, 1 In 2.18
F 0.2500 0.9755 0.3599  1 In 2.11, 1 Na 2.31
Ni 0.0000 0.0000 0.0000  6 F 2.00-2.03
Ni 0.5000 0.0000 0.0000  6 F 2.00-2.03
Ni 0.0000 0.5000 0.5000  6 F 2.00-2.03
Ni 0.5000 0.5000 0.5000  6 F 2.00-2.03
In 0.2500 0.7724 0.7680  6 F 2.09-2.18
In 0.2500 0.7276 0.2680  6 F 2.09-2.18
In 0.7500 0.2724 0.7320  6 F 2.09-2.18
In 0.7500 0.2276 0.2320  6 F 2.09-2.18
Na 0.2500 0.2528 0.2688  7 F 2.25-2.52
Na 0.5000 0.0000 0.5000  4 F 2.37-2.45
Na 0.2500 0.2472 0.7688  7 F 2.25-2.52
Na 0.0000 0.0000 0.5000  4 F 2.37-2.45
Na 0.0000 0.5000 0.0000  4 F 2.37-2.45
Na 0.7500 0.7528 0.2312  7 F 2.25-2.52
Na 0.7500 0.7472 0.7312  7 F 2.25-2.52
Na 0.5000 0.5000 0.0000  4 F 2.37-2.45

---

Density functional theory data (GGA+U) for a relaxed K2LiMnF6 crystal.

Calculated values
Energy with MP2020 corrections   -5.45 eV per atom
ΔH_f (0 K)   -2.98 eV per atom
Electronic total energy   -50.10 eV per cell

abc: 5.7537 5.7537 5.7537
angles: 60.00 60.00 60.00
Last column: nearest neighbours and their distance in Å.
Atoms (fractional coordinates):
K 0.7500 0.7500 0.7500  12 F 2.88
K 0.2500 0.2500 0.2500  12 F 2.88
Mn 0.0000 0.0000 0.0000  6 F 1.96
F 0.2411 0.7589 0.2411  1 Mn 1.96, 1 Li 2.11
F 0.2411 0.2411 0.7589  1 Mn 1.96, 1 Li 2.11
F 0.7589 0.2411 0.2411  1 Mn 1.96, 1 Li 2.11
F 0.7589 0.2411 0.7589  1 Mn 1.96, 1 Li 2.11
F 0.7589 0.7589 0.2411  1 Mn 1.96, 1 Li 2.11
F 0.2411 0.7589 0.7589  1 Mn 1.96, 1 Li 2.11
Li 0.5000 0.5000 0.5000  6 F 2.11

---

Density functional theory data (GGA+U) for a relaxed K2LiVF6 crystal.

Calculated values
Energy with MP2020 corrections   -5.59 eV per atom
ΔH_f (0 K)   -3.12 eV per atom
Electronic total energy   -51.45 eV per cell

abc: 5.7735 5.7735 5.7735
angles: 60.00 60.00 60.00
Last column: nearest neighbours and their distance in Å.
Atoms (fractional coordinates):
Li 0.5000 0.5000 0.5000  6 F 2.10
F 0.2424 0.2424 0.7576  1 V 1.98, 1 Li 2.10
F 0.7576 0.7576 0.2424  1 V 1.98, 1 Li 2.10
F 0.2424 0.7576 0.2424  1 V 1.98, 1 Li 2.10
F 0.7576 0.2424 0.7576  1 V 1.98, 1 Li 2.10
F 0.2424 0.7576 0.7576  1 V 1.98, 1 Li 2.10
F 0.7576 0.2424 0.2424  1 V 1.98, 1 Li 2.10
K 0.7500 0.7500 0.7500  12 F 2.89
K 0.2500 0.2500 0.2500  12 F 2.89
V 0.0000 0.0000 0.0000  6 F 1.98